1.
Here is an optimized crystal structure of BaSr7Ti6Mn2O20 from the Materials Project. Energies are from PBE with a Hubbard U.

For the total energy, the calculation gives -0.562 Ry/atom. The MP2020-corrected energy is -1169.74 eV/cell. Its energy of formation from the pure elements is -3.168 eV/atom.

a b c (Å): 11.2938 11.3926 17.8836
angles (deg): 71.47 71.66 89.99
Closest atoms and distances in Å follow each position.
Fractional positions:
Ba 0.0000 0.0000 0.0000  9 O 2.71-2.90
Ba 0.0003 0.4948 0.0032  9 O 2.75-2.99
Ba 0.5007 0.9972 0.9996  8 O 2.74-2.87
Ba 0.7521 0.2536 0.0005  8 O 2.76-2.94
Sr 0.1304 0.1276 0.7364  7 O 2.53-2.81
Sr 0.1342 0.6268 0.2318  7 O 2.51-2.72
Sr 0.1355 0.1281 0.2327  5 O 2.39-2.67
Sr 0.1361 0.6310 0.7368  8 O 2.59-2.86
Sr 0.2442 0.7507 0.5179  7 O 2.48-2.77
Sr 0.2446 0.7462 0.0085  7 O 2.57-2.82
Sr 0.2461 0.2495 0.5128  3 O 2.38-2.64
Sr 0.2477 0.2531 0.0101  8 O 2.64-2.80
Sr 0.3848 0.3882 0.2348  4 O 2.39-2.68
Sr 0.3855 0.8845 0.7341  6 O 2.55-2.73
Sr 0.3884 0.3904 0.7359  8 O 2.58-2.79
Sr 0.3883 0.8952 0.2283  7 O 2.50-2.74
Sr 0.4941 0.4852 0.5138  4 O 2.39-2.63
Sr 0.4947 0.9867 0.5123  2 O 2.38-2.56
Sr 0.4984 0.4919 0.0093  9 O 2.64-2.93
Sr 0.6339 0.6228 0.2340  6 O 2.40-2.67
Sr 0.6354 0.1299 0.2316  5 O 2.39-2.68
Sr 0.6355 0.6291 0.7336  8 O 2.56-2.86
Sr 0.6375 0.1258 0.7337  8 O 2.61-2.81
Sr 0.7455 0.7472 0.5128  4 O 2.40-2.66
Sr 0.7467 0.2501 0.5130  3 O 2.38-2.64
Sr 0.7497 0.7454 0.0099  8 O 2.60-2.85
Sr 0.8810 0.3880 0.7395  8 O 2.63-2.93
Sr 0.8843 0.3884 0.2326  4 O 2.39-2.66
Sr 0.8855 0.8894 0.2324  6 O 2.41-2.70
Sr 0.8863 0.8845 0.7335  8 O 2.54-2.83
Sr 0.9915 0.4856 0.5171  7 O 2.50-2.71
Sr 0.9961 0.9855 0.5134  4 O 2.38-2.65
Ti 0.0561 0.7967 0.8702  4 O 1.88-1.95
Ti 0.1885 0.4351 0.6321  5 O 1.82-2.02
Ti 0.1883 0.9339 0.1293  5 O 1.93-2.01
Ti 0.1909 0.4369 0.1272  6 O 1.97-2.21
Ti 0.1931 0.9412 0.6206  6 O 1.96-2.12
Ti 0.2922 0.6029 0.3733  4 O 1.85
Ti 0.3099 0.0899 0.8678  4 O 1.79-1.90
Ti 0.3119 0.5810 0.8710  4 O 1.92-2.00
Ti 0.4407 0.1894 0.1236  6 O 1.99-2.13
Ti 0.4437 0.6895 0.6207  6 O 2.00-2.07
Ti 0.4457 0.1892 0.6185  5 O 1.91-2.03
Ti 0.4456 0.6907 0.1154  5 O 1.98-2.02
Ti 0.5557 0.7902 0.8692  4 O 1.86-1.98
Ti 0.5576 0.3092 0.8702  4 O 1.93-1.99
Ti 0.6872 0.9333 0.1293  5 O 1.94-2.01
Ti 0.6887 0.4380 0.1253  6 O 1.99-2.14
Ti 0.6925 0.4387 0.6216  6 O 1.98-2.09
Ti 0.6953 0.9406 0.6165  5 O 1.92-2.02
Ti 0.8052 0.5828 0.8710  4 O 1.91-1.96
Ti 0.8103 0.0862 0.8666  4 O 1.81-1.92
Ti 0.9395 0.6866 0.1255  6 O 1.98-2.16
Ti 0.9416 0.1871 0.1243  6 O 1.98-2.06
Ti 0.9431 0.1893 0.6195  6 O 1.94-2.13
Ti 0.9426 0.6894 0.6215  6 O 1.99-2.07
Mn 0.0444 0.2783 0.3736  4 O 2.06-2.11
Mn 0.0449 0.7876 0.3743  4 O 2.04-2.15
Mn 0.0644 0.3127 0.8725  4 O 2.06-2.14
Mn 0.2959 0.0947 0.3727  4 O 2.05-2.11
Mn 0.5469 0.2779 0.3729  4 O 2.06-2.12
Mn 0.5469 0.7797 0.3742  4 O 2.05-2.19
Mn 0.7951 0.5932 0.3734  4 O 2.07-2.11
Mn 0.7971 0.0960 0.3717  4 O 2.07-2.11
O 0.0056 0.7630 0.9906  2 Ti 1.95-2.16
O 0.0071 0.2700 0.4988  1 Ti 1.94, 1 Mn 2.11
O 0.0101 0.7668 0.4980  1 Ti 1.99, 1 Mn 2.05
O 0.0123 0.2539 0.0009  1 Ti 1.98, 1 Mn 2.06
O 0.0639 0.3116 0.6310  2 Ti 2.00-2.05
O 0.0641 0.8100 0.6306  2 Ti 2.01-2.02
O 0.0661 0.3107 0.1288  2 Ti 2.00-2.03
O 0.0658 0.8114 0.1270  2 Ti 1.99-2.03
O 0.0700 0.0664 0.6161  2 Ti 1.99-2.00
O 0.0719 0.5649 0.6154  2 Ti 1.99-2.04
O 0.0720 0.5673 0.1167  2 Ti 2.01-2.02
O 0.0731 0.0622 0.1180  2 Ti 1.96-2.06
O 0.1124 0.1099 0.3738  2 Mn 2.07
O 0.1211 0.8929 0.7524  2 Ti 1.93-2.12
O 0.1289 0.6185 0.3748  1 Ti 1.85
O 0.1347 0.3925 0.2499  1 Ti 1.97, 1 Mn 2.09
O 0.1372 0.4000 0.7450  1 Ti 1.82
O 0.1368 0.8885 0.2495  1 Ti 1.93, 1 Mn 2.07
O 0.1700 0.1599 0.8602  1 Ti 1.79
O 0.1697 0.6760 0.8642  2 Ti 1.88-1.95
O 0.2613 0.9833 0.4987  1 Ti 1.96, 1 Mn 2.11
O 0.2636 0.4946 0.9895  1 Ti 1.92
O 0.2635 0.9824 0.9803  1 Ti 1.90
O 0.2763 0.4869 0.4763  1 Ti 1.85
O 0.3116 0.8081 0.6329  2 Ti 2.02-2.03
O 0.3129 0.8089 0.1276  2 Ti 2.00-2.02
O 0.3140 0.3089 0.6306  2 Ti 2.02-2.03
O 0.3145 0.3117 0.1266  2 Ti 1.99-2.00
O 0.3184 0.0663 0.6208  2 Ti 1.99-2.01
O 0.3182 0.0680 0.1142  2 Ti 2.01-2.04
O 0.3191 0.5670 0.1183  2 Ti 1.98-2.01
O 0.3207 0.5679 0.6135  2 Ti 2.00-2.02
O 0.3550 0.7525 0.3735  1 Ti 1.85
O 0.3643 0.2602 0.3741  2 Mn 2.05-2.06
O 0.3758 0.5950 0.2685  1 Ti 1.85
O 0.3818 0.6094 0.7497  2 Ti 1.98-2.07
O 0.3832 0.1080 0.2472  1 Ti 1.99, 1 Mn 2.10
O 0.3888 0.0950 0.7563  1 Ti 1.89
O 0.4001 0.7335 0.8703  2 Ti 1.86-2.00
O 0.4078 0.2182 0.8720  2 Ti 1.87-1.97
O 0.5034 0.2713 0.9907  2 Ti 1.95-2.13
O 0.5051 0.7708 0.4963  1 Ti 2.00, 1 Mn 2.05
O 0.5078 0.7565 0.9913  2 Ti 1.98-1.99
O 0.5100 0.2638 0.4996  1 Ti 1.91, 1 Mn 2.12
O 0.5622 0.3131 0.1270  2 Ti 1.99-2.00
O 0.5627 0.3083 0.6324  2 Ti 2.01-2.02
O 0.5634 0.8090 0.1279  2 Ti 2.00
O 0.5647 0.8107 0.6288  2 Ti 2.00-2.01
O 0.5666 0.5644 0.1198  2 Ti 1.99
O 0.5696 0.0643 0.1154  2 Ti 2.01-2.04
O 0.5696 0.5662 0.6153  2 Ti 2.00-2.01
O 0.5707 0.0639 0.6174  2 Ti 1.99-2.01
O 0.6126 0.6124 0.3741  2 Mn 2.05-2.07
O 0.6140 0.1093 0.3728  2 Mn 2.06-2.07
O 0.6226 0.3968 0.7512  2 Ti 1.93-2.09
O 0.6258 0.8895 0.2502  1 Ti 1.94, 1 Mn 2.07
O 0.6277 0.8866 0.7536  1 Ti 1.91
O 0.6354 0.3892 0.2493  1 Ti 1.99, 1 Mn 2.08
O 0.6521 0.6531 0.8697  2 Ti 1.90-1.91
O 0.6709 0.1762 0.8627  2 Ti 1.89-1.99
O 0.7498 0.5006 0.9919  2 Ti 1.95-2.14
O 0.7582 0.9837 0.9817  1 Ti 1.91
O 0.7611 0.9830 0.4973  1 Ti 1.92, 1 Mn 2.11
O 0.7628 0.4826 0.4988  1 Ti 1.98, 1 Mn 2.11
O 0.8111 0.8084 0.1285  2 Ti 2.00-2.01
O 0.8122 0.3075 0.6345  2 Ti 2.01-2.02
O 0.8145 0.3090 0.1273  2 Ti 2.00-2.04
O 0.8138 0.8091 0.6298  2 Ti 2.00-2.02
O 0.8164 0.0628 0.1192  2 Ti 2.00-2.04
O 0.8172 0.5683 0.1178  2 Ti 2.00-2.02
O 0.8194 0.0669 0.6169  2 Ti 2.00-2.01
O 0.8188 0.5659 0.6196  2 Ti 2.00-2.02
O 0.8622 0.2648 0.3734  2 Mn 2.06-2.07
O 0.8668 0.7609 0.3728  2 Mn 2.04-2.07
O 0.8758 0.0967 0.7514  2 Ti 1.92-2.13
O 0.8786 0.6125 0.7510  2 Ti 1.96-2.07
O 0.8869 0.1072 0.2483  1 Ti 2.00, 1 Mn 2.08
O 0.8866 0.6093 0.2486  1 Ti 1.98, 1 Mn 2.09
O 0.9031 0.7211 0.8707  2 Ti 1.92-1.93
O 0.9216 0.2047 0.8621  1 Ti 1.81

2.
Here is an optimized crystal structure of Li5FeO4 from the Materials Project. Energies are from PBE with a Hubbard U.

The energy relative to the lowest polymorph listed for this composition is 88 meV per atom. For the total energy, the calculation gives -0.385 Ry/atom. The MP2020-corrected energy is -458.77 eV/cell. Its energy of formation from the pure elements is -1.954 eV/atom.

a b c (Å): 5.1947 15.8457 9.9867
angles (deg): 90.00 90.00 90.00
Closest atoms and distances in Å follow each position.
Fractional positions:
Li 0.0727 0.1563 0.1986  3 O 1.89-2.11
Li 0.0727 0.3437 0.6986  3 O 1.89-2.11
Li 0.0822 0.7396 0.5570  4 O 2.07-2.16
Li 0.0822 0.7604 0.0570  4 O 2.07-2.16
Li 0.0827 0.6770 0.8055  3 O 1.96-2.06
Li 0.0827 0.8230 0.3055  3 O 1.96-2.06
Li 0.0935 0.0712 0.9290  3 O 1.87-2.02
Li 0.0935 0.4288 0.4290  3 O 1.87-2.02
Li 0.1172 0.0072 0.6855  3 O 1.89-2.11
Li 0.1172 0.4928 0.1855  3 O 1.89-2.11
Li 0.3828 0.5072 0.6855  3 O 1.89-2.11
Li 0.3828 0.9928 0.1855  3 O 1.89-2.11
Li 0.4065 0.5712 0.9290  3 O 1.87-2.02
Li 0.4065 0.9288 0.4290  3 O 1.87-2.02
Li 0.4173 0.1770 0.8055  3 O 1.96-2.06
Li 0.4173 0.3230 0.3055  3 O 1.96-2.06
Li 0.4178 0.2396 0.5570  4 O 2.07-2.16
Li 0.4178 0.2604 0.0570  4 O 2.07-2.16
Li 0.4273 0.6563 0.1986  3 O 1.89-2.11
Li 0.4273 0.8437 0.6986  3 O 1.89-2.11
Li 0.5727 0.1563 0.3014  3 O 1.89-2.11
Li 0.5727 0.3437 0.8014  3 O 1.89-2.11
Li 0.5821 0.7396 0.9430  4 O 2.07-2.16
Li 0.5821 0.7604 0.4430  4 O 2.07-2.16
Li 0.5827 0.6770 0.6945  3 O 1.96-2.06
Li 0.5827 0.8230 0.1945  3 O 1.96-2.06
Li 0.5935 0.0712 0.5710  3 O 1.87-2.02
Li 0.5935 0.4288 0.0710  3 O 1.87-2.02
Li 0.6172 0.0072 0.8145  3 O 1.89-2.11
Li 0.6172 0.4928 0.3145  3 O 1.89-2.11
Li 0.8828 0.5072 0.8145  3 O 1.89-2.11
Li 0.8828 0.9928 0.3145  3 O 1.89-2.11
Li 0.9065 0.5712 0.5710  3 O 1.87-2.02
Li 0.9065 0.9288 0.0710  3 O 1.87-2.02
Li 0.9173 0.1770 0.6945  3 O 1.96-2.06
Li 0.9173 0.3230 0.1945  3 O 1.96-2.06
Li 0.9178 0.2396 0.9430  4 O 2.07-2.16
Li 0.9178 0.2604 0.4430  4 O 2.07-2.16
Li 0.9273 0.6563 0.3014  3 O 1.89-2.11
Li 0.9273 0.8437 0.8014  3 O 1.89-2.11
Fe 0.1432 0.1169 0.4547  4 O 1.86-1.94
Fe 0.1432 0.3831 0.9547  4 O 1.86-1.94
Fe 0.3568 0.6169 0.4547  4 O 1.86-1.94
Fe 0.3568 0.8831 0.9547  4 O 1.86-1.94
Fe 0.6432 0.1169 0.0453  4 O 1.86-1.94
Fe 0.6432 0.3831 0.5453  4 O 1.86-1.94
Fe 0.8568 0.6169 0.0453  4 O 1.86-1.94
Fe 0.8568 0.8831 0.5453  4 O 1.86-1.94
O 0.2131 0.6352 0.0499  2 Li 1.87-1.89, 1 Fe 1.87
O 0.2131 0.8648 0.5499  2 Li 1.87-1.89, 1 Fe 1.87
O 0.2328 0.6269 0.6372  1 Fe 1.94, 5 Li 2.02-2.11
O 0.2328 0.8731 0.1372  1 Fe 1.94, 5 Li 2.02-2.11
O 0.2416 0.7164 0.3608  1 Fe 1.93, 5 Li 1.96-2.16
O 0.2416 0.7836 0.8608  1 Fe 1.93, 5 Li 1.96-2.16
O 0.2470 0.0240 0.3543  1 Fe 1.86, 3 Li 1.88-2.00
O 0.2470 0.4760 0.8543  1 Fe 1.86, 3 Li 1.88-2.00
O 0.2530 0.5240 0.3543  1 Fe 1.86, 3 Li 1.88-2.00
O 0.2530 0.9760 0.8543  1 Fe 1.86, 3 Li 1.88-2.00
O 0.2584 0.2164 0.3608  1 Fe 1.93, 5 Li 1.96-2.16
O 0.2584 0.2836 0.8608  1 Fe 1.93, 5 Li 1.96-2.16
O 0.2672 0.1269 0.6372  1 Fe 1.94, 5 Li 2.02-2.11
O 0.2672 0.3731 0.1372  1 Fe 1.94, 5 Li 2.02-2.11
O 0.2869 0.1352 0.0499  2 Li 1.87-1.89, 1 Fe 1.87
O 0.2869 0.3648 0.5499  2 Li 1.87-1.89, 1 Fe 1.87
O 0.7131 0.6352 0.4501  2 Li 1.87-1.89, 1 Fe 1.87
O 0.7131 0.8648 0.9501  2 Li 1.87-1.89, 1 Fe 1.87
O 0.7328 0.6269 0.8628  1 Fe 1.94, 5 Li 2.02-2.11
O 0.7328 0.8731 0.3628  1 Fe 1.94, 5 Li 2.02-2.11
O 0.7416 0.7164 0.1392  1 Fe 1.93, 5 Li 1.96-2.16
O 0.7416 0.7836 0.6392  1 Fe 1.93, 5 Li 1.96-2.16
O 0.7470 0.0240 0.1457  1 Fe 1.86, 3 Li 1.88-2.00
O 0.7470 0.4760 0.6457  1 Fe 1.86, 3 Li 1.88-2.00
O 0.7530 0.5240 0.1457  1 Fe 1.86, 3 Li 1.88-2.00
O 0.7530 0.9760 0.6457  1 Fe 1.86, 3 Li 1.88-2.00
O 0.7584 0.2164 0.1392  1 Fe 1.93, 5 Li 1.96-2.16
O 0.7584 0.2836 0.6392  1 Fe 1.93, 5 Li 1.96-2.16
O 0.7672 0.1269 0.8628  1 Fe 1.94, 5 Li 2.02-2.11
O 0.7672 0.3731 0.3628  1 Fe 1.94, 5 Li 2.02-2.11
O 0.7869 0.1352 0.4501  2 Li 1.87-1.89, 1 Fe 1.87
O 0.7869 0.3648 0.9501  2 Li 1.87-1.89, 1 Fe 1.87

3.
Here is an optimized crystal structure of KCoO2 from the Materials Project. Energies are from PBE with a Hubbard U.

For the total energy, the calculation gives -0.383 Ry/atom. The MP2020-corrected energy is -47.69 eV/cell. Its energy of formation from the pure elements is -1.433 eV/atom.

a b c (Å): 5.5281 5.5281 5.5281
angles (deg): 116.48 116.48 96.22
Closest atoms and distances in Å follow each position.
Fractional positions:
K 0.0000 0.0000 0.0000  4 O 2.76
K 0.7500 0.2500 0.5000  4 O 2.76
Co 0.2500 0.7500 0.5000  4 O 1.88
Co 0.5000 0.5000 0.0000  4 O 1.88
O 0.2446 0.6250 0.1196  2 Co 1.88
O 0.3750 0.4946 0.6196  2 Co 1.88
O 0.5054 0.1250 0.8804  2 Co 1.88
O 0.8750 0.7554 0.3804  2 Co 1.88

4.
Here is an optimized crystal structure of Mn2FeAg2P3O12 from the Materials Project. Energies are from PBE with a Hubbard U.

The energy relative to the lowest polymorph listed for this composition is 0 meV per atom. For the total energy, the calculation gives -0.506 Ry/atom. The MP2020-corrected energy is -303.23 eV/cell. Its energy of formation from the pure elements is -2.177 eV/atom.

a b c (Å): 8.9290 8.9290 6.6010
angles (deg): 106.65 106.65 92.80
Closest atoms and distances in Å follow each position.
Fractional positions:
Mn 0.0000 0.0000 0.0000  6 O 2.23-2.25
Mn 0.3320 0.1076 0.8866  5 O 2.08-2.20
Mn 0.5350 0.4650 0.5000  6 O 2.20-2.33
Mn 0.8924 0.6680 0.1134  5 O 2.08-2.20
Fe 0.2021 0.3532 0.6189  6 O 1.98-2.18
Fe 0.6468 0.7979 0.3811  6 O 1.98-2.18
Ag 0.2542 0.7458 0.5000  2 O 2.41
Ag 0.2739 0.7261 0.0000  6 O 2.59-2.81
Ag 0.7661 0.2337 0.2487  5 O 2.40-2.68
Ag 0.7663 0.2339 0.7513  5 O 2.40-2.68
P 0.1413 0.3869 0.1236  4 O 1.54-1.58
P 0.3936 0.0819 0.3788  4 O 1.54-1.58
P 0.5493 0.4507 0.0000  4 O 1.53-1.59
P 0.6131 0.8587 0.8764  4 O 1.54-1.58
P 0.9181 0.6064 0.6212  4 O 1.54-1.58
P 0.9797 0.0203 0.5000  4 O 1.55-1.57
O 0.0078 0.9131 0.2878  1 P 1.55
O 0.0086 0.1960 0.5039  1 P 1.57
O 0.0823 0.5460 0.6238  1 P 1.58
O 0.0869 0.9922 0.7122  1 P 1.55
O 0.1008 0.5575 0.1475  1 P 1.56
O 0.2169 0.3392 0.9326  1 P 1.56
O 0.2645 0.3950 0.3544  1 P 1.58
O 0.2651 0.0525 0.1492  1 P 1.56
O 0.3140 0.1395 0.5643  1 P 1.56
O 0.4278 0.4717 0.7850  1 P 1.59
O 0.4425 0.8992 0.8525  1 P 1.56
O 0.4540 0.9177 0.3762  1 P 1.58
O 0.5244 0.2860 0.0225  1 P 1.53
O 0.5283 0.5722 0.2150  1 P 1.59
O 0.5321 0.2085 0.4207  1 P 1.54
O 0.6050 0.7355 0.6456  1 P 1.58
O 0.6608 0.7831 0.0674  1 P 1.56
O 0.7140 0.4756 0.9775  1 P 1.53
O 0.7381 0.0008 0.9268  1 P 1.54
O 0.7915 0.4679 0.5793  1 P 1.54
O 0.8040 0.9914 0.4961  1 P 1.57
O 0.8605 0.6860 0.4357  1 P 1.56
O 0.9475 0.7349 0.8508  1 P 1.56
O 0.9992 0.2619 0.0732  1 P 1.54